Entry 1:
Entry from the Materials Project database: a relaxed structure of La3MoO7 (PBE+U).

Cell: 7.593 7.769 11.208 Å, 90.00 90.00 90.00°
Sites, in units of the cell vectors:
La: 0.756 0.498 0.250
La: 0.744 0.998 0.250
La: 0.244 0.502 0.750
La: 0.256 0.002 0.750
La: 0.052 0.750 0.476
La: 0.448 0.250 0.024
La: 0.948 0.250 0.976
La: 0.552 0.750 0.524
La: 0.948 0.250 0.524
La: 0.552 0.750 0.976
La: 0.052 0.750 0.024
La: 0.448 0.250 0.476
Mo: 0.249 0.503 0.250
Mo: 0.251 0.003 0.250
Mo: 0.751 0.497 0.750
Mo: 0.749 0.997 0.750
O: 0.058 0.468 0.374
O: 0.442 0.968 0.126
O: 0.942 0.532 0.874
O: 0.558 0.032 0.626
O: 0.942 0.532 0.626
O: 0.558 0.032 0.874
O: 0.058 0.468 0.126
O: 0.442 0.968 0.374
O: 0.570 0.463 0.877
O: 0.930 0.963 0.623
O: 0.430 0.537 0.377
O: 0.070 0.037 0.123
O: 0.430 0.537 0.123
O: 0.070 0.037 0.377
O: 0.570 0.463 0.623
O: 0.930 0.963 0.877
O: 0.776 0.749 0.380
O: 0.724 0.249 0.120
O: 0.224 0.251 0.880
O: 0.276 0.751 0.620
O: 0.224 0.251 0.620
O: 0.276 0.751 0.880
O: 0.776 0.749 0.120
O: 0.724 0.249 0.380
O: 0.189 0.753 0.250
O: 0.311 0.253 0.250
O: 0.811 0.247 0.750
O: 0.689 0.747 0.750

Results
SG	Pnma (62)
energy of formation	-3348.2	meV/atom
size of the total moment	0.09	μB per atom
calculated volume	661.2	Å³/cell


Entry 2:
Entry from the Materials Project database: a relaxed structure of La2MoO6 (PBE+U).

Cell: 6.224 5.642 9.371 Å, 58.16 90.00 90.00°
Sites, in units of the cell vectors:
La: 0.583 0.789 0.244
La: 0.083 0.211 0.256
La: 0.917 0.789 0.744
La: 0.417 0.211 0.756
Mo: 0.500 0.500 0.000
Mo: 0.000 0.500 0.500
O: 0.067 0.419 0.723
O: 0.264 0.720 0.417
O: 0.346 0.164 0.050
O: 0.846 0.836 0.450
O: 0.764 0.280 0.083
O: 0.567 0.581 0.777
O: 0.933 0.581 0.277
O: 0.736 0.280 0.583
O: 0.654 0.836 0.950
O: 0.154 0.164 0.550
O: 0.236 0.720 0.917
O: 0.433 0.419 0.223

Results
SG	P2_1/c (14)
energy of formation	-3118.5	meV/atom
size of the total moment	0.00	μB per atom
calculated volume	279.5	Å³/cell


Entry 3:
Entry from the Materials Project database: a relaxed structure of RbLaMo2O8 (PBE+U).

Cell: 6.496 6.496 9.812 Å, 90.00 90.00 90.00°
Sites, in units of the cell vectors:
Rb: 0.000 0.000 0.500
Rb: 0.500 0.500 0.000
La: 0.000 0.000 0.000
La: 0.500 0.500 0.500
Mo: 0.000 0.500 0.750
Mo: 0.000 0.500 0.250
Mo: 0.500 0.000 0.750
Mo: 0.500 0.000 0.250
O: 0.806 0.609 0.641
O: 0.194 0.391 0.641
O: 0.609 0.806 0.359
O: 0.609 0.194 0.641
O: 0.391 0.806 0.641
O: 0.194 0.609 0.359
O: 0.806 0.391 0.359
O: 0.391 0.194 0.359
O: 0.109 0.306 0.141
O: 0.694 0.109 0.141
O: 0.306 0.891 0.141
O: 0.109 0.694 0.859
O: 0.891 0.306 0.859
O: 0.891 0.694 0.141
O: 0.306 0.109 0.859
O: 0.694 0.891 0.859

Results
SG	P4/nnc (126)
energy of formation	-2554.2	meV/atom
size of the total moment	0.00	μB per atom
calculated volume	414.0	Å³/cell


Entry 4:
Entry from the Materials Project database: a relaxed structure of LaSbMo2O9 (PBE+U).

Cell: 10.009 10.009 11.148 Å, 68.49 68.49 96.19°
Sites, in units of the cell vectors:
La: 0.876 0.124 0.250
La: 0.124 0.876 0.750
La: 0.677 0.323 0.750
La: 0.323 0.677 0.250
Sb: 0.623 0.644 0.461
Sb: 0.377 0.356 0.539
Sb: 0.356 0.377 0.039
Sb: 0.644 0.623 0.961
Mo: 0.063 0.435 0.804
Mo: 0.950 0.741 0.527
Mo: 0.259 0.050 0.973
Mo: 0.937 0.565 0.196
Mo: 0.741 0.950 0.027
Mo: 0.565 0.937 0.696
Mo: 0.050 0.259 0.473
Mo: 0.435 0.063 0.304
O: 0.403 0.217 0.926
O: 0.878 0.297 0.559
O: 0.377 0.216 0.197
O: 0.861 0.383 0.221
O: 0.597 0.783 0.074
O: 0.096 0.062 0.098
O: 0.783 0.597 0.574
O: 0.383 0.861 0.721
O: 0.217 0.403 0.426
O: 0.122 0.703 0.441
O: 0.139 0.617 0.779
O: 0.425 0.541 0.097
O: 0.946 0.771 0.677
O: 0.011 0.693 0.012
O: 0.784 0.623 0.303
O: 0.989 0.307 0.988
O: 0.575 0.459 0.903
O: 0.561 0.084 0.750
O: 0.084 0.561 0.250
O: 0.623 0.784 0.803
O: 0.904 0.938 0.902
O: 0.307 0.989 0.488
O: 0.297 0.878 0.059
O: 0.054 0.229 0.323
O: 0.916 0.439 0.750
O: 0.216 0.377 0.697
O: 0.617 0.139 0.279
O: 0.062 0.096 0.598
O: 0.229 0.054 0.823
O: 0.459 0.575 0.403
O: 0.541 0.425 0.597
O: 0.439 0.916 0.250
O: 0.938 0.904 0.402
O: 0.771 0.946 0.177
O: 0.693 0.011 0.512
O: 0.703 0.122 0.941

Results
SG	C2/c (15)
energy of formation	-2396.5	meV/atom
size of the total moment	0.00	μB per atom
calculated volume	928.0	Å³/cell


Please write out number 4 again, unchanged.
Entry from the Materials Project database: a relaxed structure of LaSbMo2O9 (PBE+U).

Cell: 10.009 10.009 11.148 Å, 68.49 68.49 96.19°
Sites, in units of the cell vectors:
La: 0.876 0.124 0.250
La: 0.124 0.876 0.750
La: 0.677 0.323 0.750
La: 0.323 0.677 0.250
Sb: 0.623 0.644 0.461
Sb: 0.377 0.356 0.539
Sb: 0.356 0.377 0.039
Sb: 0.644 0.623 0.961
Mo: 0.063 0.435 0.804
Mo: 0.950 0.741 0.527
Mo: 0.259 0.050 0.973
Mo: 0.937 0.565 0.196
Mo: 0.741 0.950 0.027
Mo: 0.565 0.937 0.696
Mo: 0.050 0.259 0.473
Mo: 0.435 0.063 0.304
O: 0.403 0.217 0.926
O: 0.878 0.297 0.559
O: 0.377 0.216 0.197
O: 0.861 0.383 0.221
O: 0.597 0.783 0.074
O: 0.096 0.062 0.098
O: 0.783 0.597 0.574
O: 0.383 0.861 0.721
O: 0.217 0.403 0.426
O: 0.122 0.703 0.441
O: 0.139 0.617 0.779
O: 0.425 0.541 0.097
O: 0.946 0.771 0.677
O: 0.011 0.693 0.012
O: 0.784 0.623 0.303
O: 0.989 0.307 0.988
O: 0.575 0.459 0.903
O: 0.561 0.084 0.750
O: 0.084 0.561 0.250
O: 0.623 0.784 0.803
O: 0.904 0.938 0.902
O: 0.307 0.989 0.488
O: 0.297 0.878 0.059
O: 0.054 0.229 0.323
O: 0.916 0.439 0.750
O: 0.216 0.377 0.697
O: 0.617 0.139 0.279
O: 0.062 0.096 0.598
O: 0.229 0.054 0.823
O: 0.459 0.575 0.403
O: 0.541 0.425 0.597
O: 0.439 0.916 0.250
O: 0.938 0.904 0.402
O: 0.771 0.946 0.177
O: 0.693 0.011 0.512
O: 0.703 0.122 0.941

Results
SG	C2/c (15)
energy of formation	-2396.5	meV/atom
size of the total moment	0.00	μB per atom
calculated volume	928.0	Å³/cell